A plane-wave DFT calculation with GGA-PBE was carried out for a relaxed LaTe2Se crystal.

```
LaTe2Se
1.0
4.333 0.000 0.000
0.000 26.723 0.000
0.000 0.000 4.346
La Te Se
4 8 4
Cartesian
0.000 4.821 1.087
0.000 21.902 3.260
2.166 8.540 3.260
2.166 18.183 1.087
0.000 2.125 3.260
0.000 11.238 3.260
0.000 15.486 1.087
0.000 24.599 1.087
2.166 2.124 1.087
2.166 11.237 1.087
2.166 15.486 3.260
2.166 24.599 3.260
0.000 7.880 1.087
0.000 18.843 3.260
2.166 5.481 3.260
2.166 21.242 1.087
```

Calculated values
Formation energy from the elements (eV/f.u.): -5.482